Material: ThCo
Method: DFT, meta-GGA r2SCAN
State: relaxed

Lattice parameters (Å, degrees): 3.684 3.957 5.890 90.00 108.23 90.00
Fractional coordinates of all 4 atoms:
Th: 0.868 0.250 0.736
Th: 0.132 0.750 0.264
Co: 0.592 0.250 0.183
Co: 0.408 0.750 0.817

Computed properties:
final energy = -43.544 eV per atom
ΔH_f (0 K) = -0.190 eV/atom
magnetization = 0.000 μB/atom
space-group type = Cmcm (63)

=====

Material: DyTh3
Method: DFT, meta-GGA r2SCAN
State: relaxed

Lattice parameters (Å, degrees): 5.048 5.048 5.048 90.00 90.00 90.00
Fractional coordinates of all 4 atoms:
Dy: 0.000 0.000 0.000
Th: 0.500 0.500 0.000
Th: 0.000 0.500 0.500
Th: 0.500 0.000 0.500

Computed properties:
final energy = -63.055 eV per atom
ΔH_f (0 K) = 0.047 eV/atom
magnetization = 0.000 μB/atom
space-group type = Pm-3m (221)

=====

Material: LiAc2Si
Method: DFT, meta-GGA r2SCAN
State: relaxed

Lattice parameters (Å, degrees): 5.514 5.514 5.514 60.00 60.00 60.00
Fractional coordinates of all 4 atoms:
Li: 0.250 0.250 0.250
Ac: 0.500 0.500 0.500
Ac: 0.000 0.000 0.000
Si: 0.750 0.750 0.750

Computed properties:
final energy = -37.335 eV per atom
ΔH_f (0 K) = -0.227 eV/atom
magnetization = 0.000 μB/atom
space-group type = Fm-3m (225)